<a>
NiH18C4S6N8O4 | GGA+U | relaxed

Unit cell a=9.0879 b=10.5689 c=19.3121 alpha=90.00 beta=90.00 gamma=90.00
Fractional positions:
Ni: 0.1872 0.1744 0.1534
Ni: 0.3128 0.8256 0.6534
Ni: 0.6872 0.3256 0.8466
Ni: 0.8128 0.6744 0.3466
H: 0.0054 0.6432 0.8113
H: 0.0125 0.4200 0.5441
H: 0.0130 0.6589 0.9266
H: 0.0192 0.7374 0.6018
H: 0.0442 0.2036 0.4074
H: 0.0777 0.1226 0.9462
H: 0.0895 0.4959 0.3407
H: 0.1017 0.0513 0.4294
H: 0.1216 0.7142 0.9807
H: 0.1336 0.4431 0.9610
H: 0.1679 0.7010 0.7733
H: 0.1695 0.9089 0.3403
H: 0.1728 0.3749 0.5856
H: 0.1742 0.9629 0.2546
H: 0.2083 0.3002 0.9900
H: 0.2133 0.2541 0.7047
H: 0.2227 0.3710 0.7686
H: 0.2502 0.4438 0.3799
H: 0.2498 0.5562 0.8799
H: 0.2773 0.6290 0.2686
H: 0.2867 0.7459 0.2047
H: 0.2917 0.6998 0.4900
H: 0.3258 0.0371 0.7546
H: 0.3272 0.6251 0.0856
H: 0.3305 0.0911 0.8403
H: 0.3321 0.2990 0.2733
H: 0.3664 0.5569 0.4610
H: 0.3784 0.2858 0.4807
H: 0.3983 0.9487 0.9294
H: 0.4105 0.5041 0.8407
H: 0.4223 0.8774 0.4462
H: 0.4558 0.7964 0.9074
H: 0.4808 0.2626 0.1018
H: 0.4870 0.3411 0.4266
H: 0.4875 0.5800 0.0441
H: 0.4946 0.3568 0.3113
H: 0.5054 0.8568 0.1887
H: 0.5125 0.0800 0.4559
H: 0.5130 0.8411 0.0734
H: 0.5192 0.7626 0.3982
H: 0.5442 0.2964 0.5926
H: 0.5777 0.3774 0.0538
H: 0.5895 0.0041 0.6593
H: 0.6017 0.4487 0.5706
H: 0.6216 0.7858 0.0193
H: 0.6336 0.0569 0.0390
H: 0.6679 0.7990 0.2267
H: 0.6695 0.5911 0.6597
H: 0.6728 0.1251 0.4144
H: 0.6742 0.5371 0.7454
H: 0.7083 0.1998 0.0100
H: 0.7133 0.2459 0.2953
H: 0.7227 0.1290 0.2314
H: 0.7502 0.0562 0.6201
H: 0.7498 0.9438 0.1201
H: 0.7773 0.8710 0.7314
H: 0.7867 0.7541 0.7953
H: 0.7917 0.8002 0.5100
H: 0.8258 0.4629 0.2454
H: 0.8272 0.8749 0.9144
H: 0.8305 0.4089 0.1597
H: 0.8321 0.2010 0.7267
H: 0.8664 0.9431 0.5390
H: 0.8784 0.2142 0.5193
H: 0.8983 0.5513 0.0706
H: 0.9105 0.9959 0.1593
H: 0.9223 0.6226 0.5538
H: 0.9558 0.7036 0.0926
H: 0.9808 0.2374 0.8982
H: 0.9870 0.1589 0.5734
H: 0.9875 0.9200 0.9559
H: 0.9946 0.1432 0.6887
C: 0.0177 0.2961 0.7529
C: 0.1122 0.0956 0.3249
C: 0.1144 0.5619 0.5994
C: 0.1815 0.6177 0.4090
C: 0.3185 0.3823 0.9090
C: 0.3856 0.4381 0.0994
C: 0.3878 0.9044 0.8249
C: 0.4823 0.7039 0.2529
C: 0.5177 0.2039 0.2471
C: 0.6122 0.4044 0.6751
C: 0.6144 0.9381 0.4006
C: 0.6815 0.8823 0.5910
C: 0.8185 0.1177 0.0910
C: 0.8856 0.0619 0.9006
C: 0.8878 0.5956 0.1751
C: 0.9823 0.7961 0.7471
S: 0.0462 0.7310 0.4068
S: 0.0674 0.8931 0.6881
S: 0.0746 0.2118 0.2650
S: 0.1968 0.9165 0.0849
S: 0.2189 0.9337 0.5320
S: 0.2280 0.3985 0.1434
S: 0.2720 0.6015 0.6434
S: 0.2811 0.0663 0.0320
S: 0.3032 0.0835 0.5849
S: 0.4254 0.7882 0.7650
S: 0.4326 0.1069 0.1881
S: 0.4538 0.2690 0.9068
S: 0.5462 0.7690 0.5932
S: 0.5674 0.6069 0.3119
S: 0.5746 0.2882 0.7350
S: 0.6968 0.5835 0.9151
S: 0.7189 0.5663 0.4680
S: 0.7280 0.1015 0.8566
S: 0.7720 0.8985 0.3566
S: 0.7811 0.4337 0.9680
S: 0.8032 0.4165 0.4151
S: 0.9254 0.7118 0.2350
S: 0.9326 0.3931 0.8119
S: 0.9538 0.2310 0.0932
N: 0.0084 0.6460 0.5855
N: 0.0585 0.7109 0.7834
N: 0.0865 0.1188 0.3921
N: 0.0951 0.4427 0.5779
N: 0.1637 0.3027 0.7438
N: 0.1649 0.9827 0.3061
N: 0.1859 0.5187 0.3648
N: 0.2082 0.3715 0.9547
N: 0.2918 0.6285 0.4547
N: 0.3141 0.4813 0.8648
N: 0.3351 0.0173 0.8061
N: 0.3363 0.6973 0.2438
N: 0.4049 0.5573 0.0779
N: 0.4135 0.8812 0.8921
N: 0.4415 0.2891 0.2834
N: 0.4916 0.3540 0.0855
N: 0.5084 0.8540 0.4145
N: 0.5585 0.7891 0.2166
N: 0.5865 0.3812 0.6079
N: 0.5951 0.0573 0.4221
N: 0.6637 0.1973 0.2562
N: 0.6649 0.5173 0.6939
N: 0.6859 0.9813 0.6352
N: 0.7082 0.1285 0.0453
N: 0.7918 0.8715 0.5453
N: 0.8141 0.0187 0.1352
N: 0.8351 0.4827 0.1939
N: 0.8363 0.8027 0.7562
N: 0.9049 0.9427 0.9221
N: 0.9135 0.6188 0.1079
N: 0.9415 0.2109 0.7166
N: 0.9916 0.1460 0.9145
O: 0.0802 0.8527 0.0439
O: 0.1122 0.6468 0.9458
O: 0.1347 0.9718 0.1508
O: 0.1847 0.1753 0.6025
O: 0.3153 0.8247 0.1025
O: 0.3653 0.0282 0.6508
O: 0.3878 0.3532 0.4458
O: 0.4198 0.1473 0.5439
O: 0.5802 0.6473 0.9561
O: 0.6122 0.8532 0.0542
O: 0.6347 0.5282 0.8492
O: 0.6847 0.3247 0.3975
O: 0.8153 0.6753 0.8975
O: 0.8653 0.4718 0.3492
O: 0.8878 0.1468 0.5542
O: 0.9198 0.3527 0.4561

Summary:
total magnetization: 0.00 μB per formula unit
space-group type: P2_12_12_1 (19)

=====

<b>
NiH18C4S6N8O4 | GGA+U | relaxed

Unit cell a=9.5701 b=12.0143 c=20.2262 alpha=90.00 beta=90.00 gamma=90.00
Fractional positions:
Ni: 0.0578 0.0428 0.4036
Ni: 0.4422 0.9572 0.9036
Ni: 0.5578 0.4572 0.5964
Ni: 0.9422 0.5428 0.0964
H: 0.0067 0.9625 0.7604
H: 0.0603 0.4425 0.5329
H: 0.0609 0.5087 0.4585
H: 0.0653 0.3404 0.7209
H: 0.0656 0.1318 0.1527
H: 0.0678 0.7143 0.8423
H: 0.0700 0.4428 0.9655
H: 0.0955 0.2799 0.5740
H: 0.0970 0.2378 0.4920
H: 0.1735 0.6750 0.6787
H: 0.1862 0.6056 0.1882
H: 0.1933 0.5212 0.2491
H: 0.2103 0.7571 0.8874
H: 0.2216 0.0386 0.6418
H: 0.2231 0.1764 0.6511
H: 0.2264 0.3889 0.9336
H: 0.2289 0.1590 0.1856
H: 0.2393 0.4407 0.1541
H: 0.2607 0.5593 0.6541
H: 0.2711 0.8410 0.6856
H: 0.2736 0.6111 0.4336
H: 0.2769 0.8236 0.1511
H: 0.2784 0.9614 0.1418
H: 0.2897 0.2429 0.3874
H: 0.3067 0.4788 0.7491
H: 0.3138 0.3944 0.6882
H: 0.3265 0.3250 0.1787
H: 0.4030 0.7622 0.9920
H: 0.4045 0.7201 0.0740
H: 0.4300 0.5572 0.4655
H: 0.4322 0.2857 0.3423
H: 0.4344 0.8682 0.6527
H: 0.4347 0.6596 0.2209
H: 0.4391 0.4913 0.9585
H: 0.4397 0.5575 0.0329
H: 0.4933 0.0375 0.2604
H: 0.5067 0.5375 0.2396
H: 0.5603 0.0575 0.4671
H: 0.5609 0.9913 0.5415
H: 0.5653 0.1596 0.2791
H: 0.5656 0.3682 0.8473
H: 0.5678 0.7857 0.1577
H: 0.5700 0.0572 0.0345
H: 0.5955 0.2201 0.4260
H: 0.5970 0.2622 0.5080
H: 0.6735 0.8250 0.3213
H: 0.6862 0.8944 0.8118
H: 0.6933 0.9788 0.7509
H: 0.7103 0.7429 0.1126
H: 0.7216 0.4614 0.3582
H: 0.7231 0.3236 0.3489
H: 0.7264 0.1111 0.0664
H: 0.7289 0.3410 0.8144
H: 0.7393 0.0593 0.8459
H: 0.7607 0.9407 0.3459
H: 0.7711 0.6590 0.3144
H: 0.7736 0.8889 0.5664
H: 0.7769 0.6764 0.8489
H: 0.7784 0.5386 0.8582
H: 0.7897 0.2571 0.6126
H: 0.8067 0.0212 0.2509
H: 0.8138 0.1056 0.3118
H: 0.8265 0.1750 0.8213
H: 0.9030 0.7378 0.0080
H: 0.9045 0.7799 0.9260
H: 0.9300 0.9428 0.5345
H: 0.9322 0.2143 0.6577
H: 0.9344 0.6318 0.3473
H: 0.9347 0.8404 0.7791
H: 0.9391 0.0087 0.0415
H: 0.9397 0.9425 0.9671
H: 0.9933 0.4625 0.7396
C: 0.1237 0.8744 0.8243
C: 0.1353 0.2916 0.1407
C: 0.1452 0.1186 0.5631
C: 0.2484 0.5079 0.0053
C: 0.2516 0.4921 0.5053
C: 0.3548 0.8814 0.0631
C: 0.3647 0.7084 0.6407
C: 0.3763 0.1256 0.3243
C: 0.6237 0.6256 0.1757
C: 0.6353 0.2084 0.8593
C: 0.6452 0.3814 0.4369
C: 0.7484 0.9921 0.9947
C: 0.7516 0.0079 0.4947
C: 0.8548 0.6186 0.9369
C: 0.8647 0.7916 0.3593
C: 0.8763 0.3744 0.6757
S: 0.0209 0.8373 0.3908
S: 0.0329 0.7341 0.1928
S: 0.0744 0.3570 0.3543
S: 0.1663 0.0057 0.5125
S: 0.1694 0.5974 0.0607
S: 0.2347 0.9846 0.8354
S: 0.2653 0.0154 0.3354
S: 0.3306 0.4026 0.5607
S: 0.3337 0.9943 0.0125
S: 0.4256 0.6430 0.8543
S: 0.4671 0.2659 0.6928
S: 0.4791 0.1627 0.8908
S: 0.5209 0.6627 0.6092
S: 0.5329 0.7659 0.8072
S: 0.5744 0.1430 0.6457
S: 0.6663 0.4943 0.4875
S: 0.6694 0.9026 0.9393
S: 0.7347 0.5154 0.1646
S: 0.7653 0.4846 0.6646
S: 0.8306 0.0974 0.4393
S: 0.8337 0.5057 0.9875
S: 0.9256 0.8570 0.1457
S: 0.9671 0.2341 0.3072
S: 0.9791 0.3373 0.1092
N: 0.0266 0.8834 0.7752
N: 0.0995 0.2160 0.5412
N: 0.1111 0.4966 0.5030
N: 0.1236 0.7805 0.8596
N: 0.1498 0.1832 0.1551
N: 0.1713 0.1102 0.6296
N: 0.1765 0.4432 0.9638
N: 0.2483 0.3562 0.1503
N: 0.2517 0.6438 0.6503
N: 0.3235 0.5568 0.4638
N: 0.3287 0.8898 0.1296
N: 0.3502 0.8168 0.6551
N: 0.3764 0.2195 0.3596
N: 0.3889 0.5034 0.0030
N: 0.4005 0.7840 0.0412
N: 0.4734 0.1166 0.2752
N: 0.5266 0.6166 0.2248
N: 0.5995 0.2840 0.4588
N: 0.6111 0.0034 0.4970
N: 0.6236 0.7195 0.1404
N: 0.6498 0.3168 0.8449
N: 0.6713 0.3898 0.3704
N: 0.6765 0.0568 0.0362
N: 0.7483 0.1438 0.8497
N: 0.7517 0.8562 0.3497
N: 0.8235 0.9432 0.5362
N: 0.8287 0.6102 0.8704
N: 0.8502 0.6832 0.3449
N: 0.8764 0.2805 0.6404
N: 0.8889 0.9966 0.9970
N: 0.9005 0.7160 0.9588
N: 0.9734 0.3834 0.7248
O: 0.0207 0.9480 0.1250
O: 0.1393 0.3023 0.4139
O: 0.1848 0.3988 0.3095
O: 0.2494 0.5593 0.2150
O: 0.2506 0.4407 0.7150
O: 0.3152 0.6012 0.8095
O: 0.3607 0.6977 0.9139
O: 0.4793 0.0520 0.6250
O: 0.5207 0.5520 0.8750
O: 0.6393 0.1977 0.5861
O: 0.6848 0.1012 0.6905
O: 0.7494 0.9407 0.7850
O: 0.7506 0.0593 0.2850
O: 0.8152 0.8988 0.1905
O: 0.8607 0.8023 0.0861
O: 0.9793 0.4480 0.3750

Summary:
total magnetization: 0.01 μB per formula unit
space-group type: P2_12_12_1 (19)

=====

Which is most stable? The ranking, best first, is <a>, <b>.

=====

<a>
NaLi5Mn2P2C2O14 | GGA+U | relaxed

Unit cell a=6.6432 b=8.6495 c=10.0180 alpha=91.92 beta=90.14 gamma=90.35
Fractional positions:
Na: 0.0000 0.0000 0.0000
Na: 0.2548 0.3343 0.9995
Li: 0.0033 0.0066 0.4955
Li: 0.2285 0.8192 0.2396
Li: 0.2299 0.8204 0.7355
Li: 0.2781 0.3490 0.5069
Li: 0.5109 0.1691 0.2548
Li: 0.5175 0.1738 0.7492
Li: 0.7276 0.3583 0.0123
Li: 0.7290 0.3507 0.5078
Li: 0.7801 0.8182 0.7348
Li: 0.7804 0.8190 0.2400
Mn: 0.0000 0.4403 0.2428
Mn: 0.0034 0.4378 0.7328
Mn: 0.5020 0.7291 0.0132
Mn: 0.5057 0.7362 0.5096
P: 0.0056 0.6812 0.4786
P: 0.5036 0.4953 0.2751
P: 0.5091 0.4954 0.7663
P: 0.9975 0.6717 0.9810
C: 0.0042 0.1339 0.2657
C: 0.0052 0.1248 0.7511
C: 0.5050 0.0486 0.4882
C: 0.5140 0.0423 0.9854
O: 0.0021 0.6684 0.8244
O: 0.0043 0.1777 0.6320
O: 0.0039 0.6750 0.3220
O: 0.0046 0.9766 0.7695
O: 0.0060 0.2215 0.8538
O: 0.0059 0.9841 0.2806
O: 0.0071 0.1925 0.1487
O: 0.0065 0.5107 0.5238
O: 0.1869 0.7582 0.0374
O: 0.1904 0.7758 0.5312
O: 0.3149 0.4027 0.2286
O: 0.3206 0.3993 0.7208
O: 0.4991 0.9348 0.8915
O: 0.5022 0.1947 0.4590
O: 0.5050 0.0062 0.1100
O: 0.5057 0.6645 0.7185
O: 0.5057 0.9457 0.3897
O: 0.5074 0.0061 0.6104
O: 0.5068 0.6650 0.2268
O: 0.5110 0.5042 0.4314
O: 0.5219 0.5039 0.9222
O: 0.5372 0.1852 0.9512
O: 0.6833 0.3977 0.2204
O: 0.6884 0.3990 0.7092
O: 0.8172 0.7697 0.0337
O: 0.8220 0.7752 0.5313
O: 0.9843 0.5025 0.0266
O: 0.9988 0.2254 0.3710

Summary:
total magnetization: 5.00 μB per formula unit
space-group type: P1 (1)

=====

<b>
NaLi5Mn2P2C2O14 | GGA+U | relaxed

Unit cell a=6.7017 b=8.6386 c=10.0090 alpha=87.41 beta=89.84 gamma=89.12
Fractional positions:
Na: 0.0015 0.2476 0.3759
Na: 0.9985 0.7524 0.6241
Li: 0.0335 0.7332 0.1348
Li: 0.2585 0.9148 0.8807
Li: 0.2786 0.9087 0.3755
Li: 0.4663 0.7316 0.1333
Li: 0.4724 0.7268 0.6362
Li: 0.5276 0.2732 0.3638
Li: 0.5337 0.2684 0.8667
Li: 0.7214 0.0913 0.6245
Li: 0.7415 0.0852 0.1193
Li: 0.9665 0.2668 0.8652
Mn: 0.2513 0.3536 0.6433
Mn: 0.2569 0.3493 0.1320
Mn: 0.7431 0.6507 0.8680
Mn: 0.7487 0.6464 0.3567
P: 0.2477 0.5934 0.8977
P: 0.2592 0.5904 0.3898
P: 0.7408 0.4096 0.6102
P: 0.7523 0.4066 0.1023
C: 0.2507 0.0361 0.1134
C: 0.2630 0.0417 0.6121
C: 0.7370 0.9583 0.3879
C: 0.7493 0.9639 0.8866
O: 0.0584 0.6861 0.8530
O: 0.0663 0.6803 0.3442
O: 0.2453 0.8909 0.0834
O: 0.2483 0.0761 0.2366
O: 0.2511 0.4238 0.8503
O: 0.2539 0.0751 0.7364
O: 0.2538 0.1528 0.5192
O: 0.2577 0.5824 0.0543
O: 0.2598 0.1409 0.0161
O: 0.2697 0.4238 0.3386
O: 0.2706 0.5776 0.5459
O: 0.2814 0.8996 0.5753
O: 0.4250 0.6917 0.8421
O: 0.4315 0.6944 0.3339
O: 0.5685 0.3056 0.6661
O: 0.5750 0.3083 0.1579
O: 0.7186 0.1004 0.4247
O: 0.7294 0.4224 0.4541
O: 0.7303 0.5762 0.6614
O: 0.7402 0.8591 0.9839
O: 0.7423 0.4176 0.9457
O: 0.7462 0.8472 0.4808
O: 0.7461 0.9249 0.2636
O: 0.7489 0.5762 0.1497
O: 0.7517 0.9239 0.7634
O: 0.7547 0.1091 0.9166
O: 0.9337 0.3197 0.6558
O: 0.9416 0.3139 0.1470

Summary:
total magnetization: 0.00 μB per formula unit
space-group type: P-1 (2)

=====

Which is most stable? The ranking, best first, is <b>, <a>.